(1)
# MnB2F8

A relaxed MnB2F8 crystal (r2SCAN, Materials Project).

abc: 5.425 8.534 10.759
angles: 90.00 90.00 90.00
Fractional coordinates of all 44 atoms:
Mn 0.250 0.252 0.608
Mn 0.750 0.748 0.392
Mn 0.250 0.752 0.892
Mn 0.750 0.248 0.108
B 0.250 0.351 0.909
B 0.750 0.649 0.091
B 0.250 0.851 0.591
B 0.750 0.149 0.409
B 0.250 0.000 0.158
B 0.750 0.000 0.842
B 0.250 0.500 0.342
B 0.750 0.500 0.658
F 0.250 0.237 0.816
F 0.250 0.929 0.040
F 0.750 0.571 0.540
F 0.250 0.429 0.460
F 0.750 0.498 0.143
F 0.250 0.502 0.857
F 0.750 0.998 0.357
F 0.250 0.002 0.643
F 0.039 0.098 0.166
F 0.539 0.902 0.834
F 0.461 0.598 0.334
F 0.750 0.071 0.960
F 0.961 0.902 0.834
F 0.461 0.098 0.166
F 0.539 0.402 0.666
F 0.039 0.598 0.334
F 0.038 0.334 0.983
F 0.538 0.666 0.017
F 0.462 0.834 0.517
F 0.962 0.166 0.483
F 0.962 0.666 0.017
F 0.462 0.334 0.983
F 0.538 0.166 0.483
F 0.038 0.834 0.517
F 0.750 0.108 0.748
F 0.250 0.892 0.252
F 0.750 0.608 0.752
F 0.250 0.392 0.248
F 0.250 0.737 0.684
F 0.750 0.263 0.316
F 0.961 0.402 0.666
F 0.750 0.763 0.184

Computed properties:
- theoretical density (g cm⁻³) = 3.0
- energy relative to the elements (kJ/mol of atoms) = -289.9

---

(2)
# Er2Au

A relaxed Er2Au crystal (r2SCAN, Materials Project).

abc: 4.894 7.008 8.782
angles: 90.00 90.00 90.00
Fractional coordinates of all 12 atoms:
Er 0.750 0.648 0.582
Er 0.750 0.148 0.918
Er 0.250 0.352 0.418
Er 0.250 0.852 0.082
Er 0.750 0.013 0.324
Er 0.750 0.513 0.176
Er 0.250 0.987 0.676
Er 0.250 0.487 0.824
Au 0.750 0.243 0.597
Au 0.750 0.743 0.903
Au 0.250 0.757 0.403
Au 0.250 0.257 0.097

Computed properties:
- theoretical density (g cm⁻³) = 11.7
- energy relative to the elements (kJ/mol of atoms) = -72.1

---

(3)
# LaSeF

A relaxed LaSeF crystal (r2SCAN, Materials Project).

abc: 4.221 4.221 8.228
angles: 90.00 90.00 120.00
Fractional coordinates of all 6 atoms:
La 0.333 0.667 0.250
La 0.667 0.333 0.750
Se 0.000 0.000 0.500
Se 0.000 0.000 0.000
F 0.667 0.333 0.250
F 0.333 0.667 0.750

Computed properties:
- theoretical density (g cm⁻³) = 6.2
- energy relative to the elements (kJ/mol of atoms) = -323.1

---

(4)
# Gd3BiO3

A relaxed Gd3BiO3 crystal (r2SCAN, Materials Project).

abc: 6.949 6.949 11.901
angles: 62.69 62.69 33.09
Fractional coordinates of all 14 atoms:
Gd 0.121 0.121 0.560
Gd 0.879 0.879 0.440
Gd 0.346 0.346 0.205
Gd 0.654 0.654 0.795
Gd 0.871 0.871 0.903
Gd 0.129 0.129 0.097
Bi 0.381 0.381 0.680
Bi 0.619 0.619 0.320
O 0.310 0.310 0.409
O 0.690 0.690 0.591
O 0.338 0.338 0.013
O 0.662 0.662 0.987
O 0.937 0.937 0.195
O 0.063 0.063 0.805

Computed properties:
- theoretical density (g cm⁻³) = 8.8
- energy relative to the elements (kJ/mol of atoms) = -286.6

---

(5)
# Y2TeO6

A relaxed Y2TeO6 crystal (r2SCAN, Materials Project).

abc: 9.053 9.053 5.185
angles: 90.00 90.00 120.00
Fractional coordinates of all 27 atoms:
Y 0.000 0.618 0.000
Y 0.000 0.281 0.500
Y 0.382 0.382 0.000
Y 0.281 0.000 0.500
Y 0.719 0.719 0.500
Y 0.618 0.000 0.000
Te 0.333 0.667 0.497
Te 0.000 0.000 0.000
Te 0.667 0.333 0.503
O 0.076 0.877 0.789
O 0.227 0.761 0.283
O 0.134 0.544 0.709
O 0.410 0.866 0.709
O 0.239 0.465 0.283
O 0.123 0.199 0.789
O 0.199 0.122 0.211
O 0.535 0.773 0.283
O 0.456 0.590 0.709
O 0.801 0.924 0.789
O 0.465 0.239 0.717
O 0.590 0.456 0.291
O 0.544 0.134 0.291
O 0.773 0.535 0.717
O 0.924 0.801 0.211
O 0.761 0.227 0.717
O 0.866 0.410 0.291
O 0.877 0.076 0.211

Computed properties:
- theoretical density (g cm⁻³) = 5.4
- energy relative to the elements (kJ/mol of atoms) = -272.2

---

(6)
# Nd11In9Ni4

A relaxed Nd11In9Ni4 crystal (r2SCAN, Materials Project).

abc: 13.339 13.339 3.764
angles: 90.00 90.00 112.59
Fractional coordinates of all 24 atoms:
Nd 0.079 0.416 0.000
Nd 0.921 0.584 0.000
Nd 0.416 0.079 0.000
Nd 0.584 0.921 0.000
Nd 0.625 0.375 0.000
Nd 0.375 0.625 0.000
Nd 0.838 0.162 0.000
Nd 0.162 0.838 0.000
Nd 0.000 0.000 0.000
Nd 0.313 0.313 0.000
Nd 0.687 0.687 0.000
In 0.837 0.367 0.500
In 0.163 0.633 0.500
In 0.367 0.837 0.500
In 0.633 0.163 0.500
In 0.081 0.220 0.500
In 0.919 0.780 0.500
In 0.220 0.081 0.500
In 0.780 0.919 0.500
In 0.500 0.500 0.500
Ni 0.245 0.449 0.500
Ni 0.755 0.551 0.500
Ni 0.449 0.245 0.500
Ni 0.551 0.755 0.500

Computed properties:
- theoretical density (g cm⁻³) = 7.7
- energy relative to the elements (kJ/mol of atoms) = -55.6

---

(7)
# SrCo6O11

A relaxed SrCo6O11 crystal (r2SCAN, Materials Project).

abc: 5.585 5.585 12.299
angles: 90.00 90.00 120.00
Fractional coordinates of all 36 atoms:
Sr 0.667 0.333 0.750
Sr 0.333 0.667 0.250
Co 0.333 0.667 0.750
Co 0.667 0.333 0.250
Co 0.000 0.000 0.353
Co 0.000 0.000 0.853
Co 0.000 0.000 0.647
Co 0.000 0.000 0.147
Co 0.500 0.500 0.500
Co 0.000 0.500 0.000
Co 0.500 0.000 0.000
Co 0.500 0.000 0.500
Co 0.000 0.500 0.500
Co 0.500 0.500 0.000
O 0.667 0.333 0.085
O 0.333 0.667 0.585
O 0.333 0.667 0.915
O 0.667 0.333 0.415
O 0.855 0.145 0.250
O 0.710 0.855 0.750
O 0.145 0.290 0.750
O 0.855 0.709 0.250
O 0.291 0.145 0.250
O 0.145 0.855 0.750
O 0.175 0.349 0.421
O 0.651 0.825 0.421
O 0.175 0.825 0.421
O 0.825 0.175 0.921
O 0.175 0.825 0.079
O 0.349 0.175 0.579
O 0.825 0.651 0.579
O 0.175 0.349 0.079
O 0.651 0.825 0.079
O 0.349 0.175 0.921
O 0.825 0.651 0.921
O 0.825 0.175 0.579

Computed properties:
- theoretical density (g cm⁻³) = 6.2
- energy relative to the elements (kJ/mol of atoms) = -145.5

---

(8)
# Re2N

A relaxed Re2N crystal (r2SCAN, Materials Project).

abc: 2.851 2.851 9.835
angles: 90.00 90.00 120.00
Fractional coordinates of all 6 atoms:
Re 0.333 0.667 0.394
Re 0.667 0.333 0.605
Re 0.667 0.333 0.895
Re 0.333 0.667 0.105
N 0.333 0.667 0.750
N 0.667 0.333 0.250

Computed properties:
- theoretical density (g cm⁻³) = 18.5
- energy relative to the elements (kJ/mol of atoms) = -2.4

---

Number 7 is which compound? SrCo6O11